This record from Materials Project describes crystalline Hf3Bi at its relaxed geometry. The functional is GGA-PBE.

DFT total energy, eV per atom: -8.441

Cell lengths 6.329, 6.329, 5.235 Å; angles 90.00, 90.00, 120.00 degrees
Sites, in units of the cell vectors:
Bi1 0.333 0.667 0.750
Hf1 0.324 0.162 0.750
Hf2 0.838 0.676 0.750
Hf3 0.838 0.162 0.750
Hf4 0.162 0.838 0.250
Hf5 0.676 0.838 0.250
Bi2 0.667 0.333 0.250
Hf6 0.162 0.324 0.250